Entry 1:
A geometry-optimized Fe2CoSe4 structure. Source: the Materials Project database, functional PBE.

Lattice parameters (Å, degrees): 4.671 5.062 5.897 65.42 67.30 89.41
Sites, in units of the cell vectors:
Fe 0.000 0.000 0.000
Fe 0.253 0.808 0.387
Co 0.776 0.142 0.411
Se 0.013 0.487 0.932
Se 0.240 0.214 0.486
Se 0.533 0.908 0.929
Se 0.733 0.650 0.467

## Properties
DFT formation energy (meV per atom): -292

Entry 2:
A geometry-optimized KMo3S3 structure. Source: the Materials Project database, functional PBE.

Lattice parameters (Å, degrees): 9.001 9.001 4.455 90.00 90.00 120.00
Sites, in units of the cell vectors:
K 0.333 0.667 0.250
K 0.667 0.333 0.750
Mo 0.034 0.186 0.250
Mo 0.152 0.966 0.250
Mo 0.186 0.152 0.750
Mo 0.814 0.848 0.250
Mo 0.848 0.034 0.750
Mo 0.966 0.814 0.750
S 0.065 0.348 0.750
S 0.283 0.935 0.750
S 0.348 0.283 0.250
S 0.652 0.717 0.750
S 0.717 0.065 0.250
S 0.935 0.652 0.250

## Properties
DFT formation energy (meV per atom): -1014
Excess energy over the best structure of this formula in the dataset (eV per formula unit): 0.00

Entry 3:
A geometry-optimized Sr7RuN6 structure. Source: the Materials Project database, functional PBE.

Lattice parameters (Å, degrees): 11.884 6.693 13.969 90.00 90.00 90.00
Sites, in units of the cell vectors:
Sr 0.000 0.067 0.250
Sr 0.000 0.933 0.750
Sr 0.036 0.233 0.519
Sr 0.036 0.767 0.019
Sr 0.211 0.393 0.121
Sr 0.211 0.607 0.621
Sr 0.219 0.367 0.874
Sr 0.219 0.633 0.374
Sr 0.281 0.133 0.374
Sr 0.281 0.867 0.874
Sr 0.289 0.107 0.621
Sr 0.289 0.893 0.121
Sr 0.464 0.267 0.019
Sr 0.464 0.733 0.519
Sr 0.500 0.433 0.750
Sr 0.500 0.567 0.250
Sr 0.536 0.267 0.481
Sr 0.536 0.733 0.981
Sr 0.711 0.107 0.879
Sr 0.711 0.893 0.379
Sr 0.719 0.133 0.126
Sr 0.719 0.867 0.626
Sr 0.781 0.367 0.626
Sr 0.781 0.633 0.126
Sr 0.789 0.393 0.379
Sr 0.789 0.607 0.879
Sr 0.964 0.233 0.981
Sr 0.964 0.767 0.481
Ru 0.000 0.424 0.750
Ru 0.000 0.576 0.250
Ru 0.500 0.076 0.250
Ru 0.500 0.924 0.750
N 0.034 0.410 0.359
N 0.034 0.590 0.859
N 0.123 0.256 0.707
N 0.123 0.744 0.207
N 0.167 0.094 0.996
N 0.167 0.906 0.496
N 0.333 0.406 0.496
N 0.333 0.594 0.996
N 0.377 0.244 0.207
N 0.377 0.756 0.707
N 0.466 0.090 0.859
N 0.466 0.910 0.359
N 0.534 0.090 0.641
N 0.534 0.910 0.141
N 0.623 0.244 0.293
N 0.623 0.756 0.793
N 0.667 0.406 0.004
N 0.667 0.594 0.504
N 0.833 0.094 0.504
N 0.833 0.906 0.004
N 0.877 0.256 0.793
N 0.877 0.744 0.293
N 0.966 0.410 0.141
N 0.966 0.590 0.641

## Properties
DFT formation energy (meV per atom): -606

Entry 4:
A geometry-optimized YHO2 structure. Source: the Materials Project database, functional PBE.

Lattice parameters (Å, degrees): 11.219 3.558 4.922 90.00 90.00 90.00
Sites, in units of the cell vectors:
Y 0.144 0.250 0.061
Y 0.356 0.750 0.561
Y 0.644 0.250 0.439
Y 0.856 0.750 0.939
H 0.087 0.750 0.601
H 0.413 0.250 0.101
H 0.587 0.750 0.899
H 0.913 0.250 0.399
O 0.059 0.750 0.792
O 0.192 0.750 0.308
O 0.308 0.250 0.808
O 0.441 0.250 0.292
O 0.559 0.750 0.708
O 0.692 0.750 0.192
O 0.808 0.250 0.692
O 0.941 0.250 0.208

## Properties
DFT formation energy (meV per atom): -2957